CaAl2Si2H4O10: relaxed, PBE.

Its MP2020-corrected energy is -7.114 eV per atom. The total energy comes out at -6.752 eV/atom. Its formation energy is -2.72 eV/atom. The total magnetization comes out at 0.00 μB per cell.

a = 5.3393 Å, b = 5.3393 Å, c = 13.2660 Å
α = 90.00°, β = 90.00°, γ = 112.93°
Atoms (fractional coordinates):
O: 0.8894 0.6524 0.1152
O: 0.6524 0.8894 0.6152
O: 0.0489 0.9511 0.7500
O: 0.6434 0.3566 0.9479
O: 0.8894 0.6524 0.3848
O: 0.1106 0.3476 0.8848
O: 0.3566 0.6434 0.4479
O: 0.3980 0.6020 0.2500
O: 0.3476 0.1106 0.1152
O: 0.9511 0.0489 0.2500
O: 0.1106 0.3476 0.6152
O: 0.6020 0.3980 0.7500
O: 0.6434 0.3566 0.5521
O: 0.3476 0.1106 0.3848
O: 0.8605 0.1395 0.4348
O: 0.8605 0.1395 0.0652
O: 0.1395 0.8605 0.5652
O: 0.1395 0.8605 0.9348
O: 0.3566 0.6434 0.0521
O: 0.6524 0.8894 0.8848
H: 0.6626 0.3374 0.8121
H: 0.5350 0.4650 0.5634
H: 0.5350 0.4650 0.9366
H: 0.3374 0.6626 0.3121
H: 0.4650 0.5350 0.0634
H: 0.3374 0.6626 0.1879
H: 0.6626 0.3374 0.6879
H: 0.4650 0.5350 0.4366
Ca: 0.3358 0.6642 0.7500
Ca: 0.6642 0.3358 0.2500
Al: 0.5000 0.0000 0.0000
Al: 0.0000 0.5000 0.5000
Al: 0.0000 0.5000 0.0000
Al: 0.5000 0.0000 0.5000
Si: 0.0180 0.9820 0.1326
Si: 0.9820 0.0180 0.6326
Si: 0.9820 0.0180 0.8674
Si: 0.0180 0.9820 0.3674